Li10GeP2Se12 | GGA-PBE | relaxed

Cell: 9.2874 9.2874 13.3690 Å, 90.00 90.00 90.00°
Closest atoms and distances in Å follow each position.
Sites, in units of the cell vectors:
Li 0.2303 0.2736 0.2949  3 Se 2.54-2.64
Li 0.7697 0.7264 0.2949  3 Se 2.54-2.64
Li 0.2736 0.7697 0.7949  3 Se 2.54-2.64
Li 0.7264 0.2303 0.7949  3 Se 2.54-2.64
Li 0.2303 0.7264 0.2949  3 Se 2.54-2.64
Li 0.7697 0.2736 0.2949  3 Se 2.54-2.64
Li 0.2736 0.2303 0.7949  3 Se 2.54-2.64
Li 0.7264 0.7697 0.7949  3 Se 2.54-2.64
Li 0.0000 0.0000 0.9411  6 Se 2.76-2.84
Li 0.0000 0.0000 0.4411  6 Se 2.76-2.84
Li 0.5000 0.5000 0.5469  6 Se 2.77-2.93, 4 Li 3.07
Li 0.5000 0.5000 0.0469  6 Se 2.77-2.93, 4 Li 3.07
Li 0.2589 0.7262 0.0357  3 Se 2.52-2.76
Li 0.7411 0.2738 0.0357  3 Se 2.52-2.76
Li 0.2738 0.2589 0.5357  3 Se 2.52-2.76
Li 0.7262 0.7411 0.5357  3 Se 2.52-2.76
Li 0.2738 0.7411 0.5357  3 Se 2.52-2.76
Li 0.7262 0.2589 0.5357  3 Se 2.52-2.76
Li 0.2589 0.2738 0.0357  3 Se 2.52-2.76
Li 0.7411 0.7262 0.0357  3 Se 2.52-2.76
Ge 0.5000 0.5000 0.8012  4 Se 2.39-2.41
Ge 0.5000 0.5000 0.3012  4 Se 2.39-2.41
P 0.0000 0.0000 0.6854  4 Se 2.22-2.25
P 0.0000 0.0000 0.1854  4 Se 2.22-2.25
P 0.0000 0.5000 0.5038  4 Se 2.22-2.24
P 0.5000 0.0000 0.0038  4 Se 2.22-2.24
Se 0.0000 0.6995 0.4094  1 P 2.24
Se 0.0000 0.3005 0.4094  1 P 2.24
Se 0.3005 0.0000 0.9094  1 P 2.24
Se 0.6995 0.0000 0.9094  1 P 2.24
Se 0.5000 0.1939 0.1013  1 P 2.22
Se 0.5000 0.8061 0.1013  1 P 2.22
Se 0.1939 0.5000 0.6013  1 P 2.22
Se 0.8061 0.5000 0.6013  1 P 2.22
Se 0.0000 0.7983 0.0928  1 P 2.25
Se 0.0000 0.2017 0.0928  1 P 2.25
Se 0.2017 0.0000 0.5928  1 P 2.25
Se 0.7983 0.0000 0.5928  1 P 2.25
Se 0.5000 0.2855 0.4030  1 Ge 2.41
Se 0.5000 0.7145 0.4030  1 Ge 2.41
Se 0.2855 0.5000 0.9030  1 Ge 2.41
Se 0.7145 0.5000 0.9030  1 Ge 2.41
Se 0.0000 0.1973 0.7792  1 P 2.22
Se 0.0000 0.8027 0.7792  1 P 2.22
Se 0.8027 0.0000 0.2792  1 P 2.22
Se 0.1973 0.0000 0.2792  1 P 2.22
Se 0.5000 0.7098 0.6974  1 Ge 2.39, 2 Li 2.54
Se 0.5000 0.2902 0.6974  1 Ge 2.39, 2 Li 2.54
Se 0.7098 0.5000 0.1974  1 Ge 2.39, 2 Li 2.54
Se 0.2902 0.5000 0.1974  1 Ge 2.39, 2 Li 2.54

Computed properties:
Formation energy from the elements in eV per atom: -1.039
Corrected total energy (MP2020 scheme) in eV/cell: -204.91
Energy in Ry per atom: -0.285


CdIrO3 | GGA-PBE | relaxed

Cell: 3.9532 3.9532 3.9532 Å, 90.00 90.00 90.00°
Closest atoms and distances in Å follow each position.
Sites, in units of the cell vectors:
Cd 0.0000 0.0000 0.0000  12 O 2.80
Ir 0.5000 0.5000 0.5000  6 O 1.98
O 0.5000 0.5000 0.0000  2 Ir 1.98
O 0.5000 0.0000 0.5000  2 Ir 1.98
O 0.0000 0.5000 0.5000  2 Ir 1.98

Computed properties:
Formation energy from the elements in eV per atom: -0.839
Corrected total energy (MP2020 scheme) in eV/cell: -28.80
Energy in Ry per atom: -0.393


Mg6CuW | GGA-PBE | relaxed

Cell: 4.7932 5.9965 10.4954 Å, 90.00 90.00 90.00°
Closest atoms and distances in Å follow each position.
Sites, in units of the cell vectors:
Mg 0.0000 0.2639 0.0904  1 Cu 2.75, 7 Mg 2.83-3.05, 2 W 2.91
Mg 0.0000 0.7361 0.0904  1 Cu 2.75, 7 Mg 2.83-3.05, 2 W 2.91
Mg 0.0000 0.0000 0.3331  10 Mg 2.97-3.05, 2 Cu 3.00
Mg 0.5000 0.7409 0.4161  8 Mg 2.89-3.11, 2 W 2.93-3.11, 2 Cu 2.99
Mg 0.5000 0.2591 0.4161  8 Mg 2.89-3.11, 2 W 2.93-3.11, 2 Cu 2.99
Mg 0.5000 0.0000 0.1664  10 Mg 2.97-3.05, 2 W 3.00
Mg 0.0000 0.7639 0.5904  1 Cu 2.75, 7 Mg 2.83-3.05, 2 W 2.91
Mg 0.0000 0.2361 0.5904  1 Cu 2.75, 7 Mg 2.83-3.05, 2 W 2.91
Mg 0.0000 0.5000 0.8331  10 Mg 2.97-3.05, 2 Cu 3.00
Mg 0.5000 0.2409 0.9161  8 Mg 2.89-3.11, 2 W 2.93-3.11, 2 Cu 2.99
Mg 0.5000 0.7591 0.9161  8 Mg 2.89-3.11, 2 W 2.93-3.11, 2 Cu 2.99
Mg 0.5000 0.5000 0.6664  10 Mg 2.97-3.05, 2 W 3.00
Cu 0.0000 0.5000 0.3148  8 Mg 2.75-3.00, 2 W 2.82
Cu 0.0000 0.0000 0.8148  8 Mg 2.75-3.00, 2 W 2.82
W 0.5000 0.5000 0.1727  2 Cu 2.82, 10 Mg 2.91-3.11
W 0.5000 0.0000 0.6727  2 Cu 2.82, 10 Mg 2.91-3.11

Computed properties:
Formation energy from the elements in eV per atom: 0.303
Energy in Ry per atom: -0.223


Rb3Sr | GGA-PBE | relaxed

Cell: 8.4463 8.4463 8.4463 Å, 132.35 132.35 69.68°
Closest atoms and distances in Å follow each position.
Sites, in units of the cell vectors:
Rb 0.7500 0.2500 0.5000  8 Rb 4.82-4.86, 4 Sr 4.86
Rb 0.2500 0.7500 0.5000  8 Rb 4.82-4.86, 4 Sr 4.86
Rb 0.5000 0.5000 0.0000  4 Sr 4.82, 8 Rb 4.86
Sr 0.0000 0.0000 0.0000  12 Rb 4.82-4.86

Computed properties:
Formation energy from the elements in eV per atom: 0.149
Energy in Ry per atom: -0.074


Na4LaAlSiP2O12 | GGA-PBE | relaxed

Cell: 9.2417 9.2388 22.3464 Å, 89.90 89.67 120.11°
Closest atoms and distances in Å follow each position.
Sites, in units of the cell vectors:
Na 0.6257 0.9961 0.2639  4 O 2.36-2.58
Na 0.3649 0.3716 0.2554  3 O 2.38-2.63
Na 0.0024 0.6215 0.2552  3 O 2.37-2.56
Na 0.6399 0.6360 0.7312  5 O 2.46-2.60
Na 0.9869 0.3595 0.7390  5 O 2.42-2.71
Na 0.3856 0.0170 0.7342  4 O 2.41-2.53
Na 0.2916 0.3289 0.5800  5 O 2.40-2.63
Na 0.0467 0.7199 0.5817  6 O 2.42-2.66
Na 0.6666 0.9600 0.5898  6 O 2.42-2.71
Na 0.2980 0.9832 0.0900  3 O 2.27-2.54
Na 0.6899 0.6948 0.0903  2 O 2.25-2.36
Na 0.0174 0.3283 0.1018  3 O 2.29-2.48
Na 0.9800 0.6802 0.9228  4 O 2.44-2.62
Na 0.6896 0.0313 0.9076  4 O 2.41-2.65
Na 0.3329 0.3066 0.9156  4 O 2.41-2.65
Na 0.9670 0.3017 0.4064  4 O 2.43-2.58
Na 0.3329 0.0310 0.4180  4 O 2.38-2.66
Na 0.6936 0.6650 0.4127  4 O 2.33-2.60
Na 0.0028 0.9923 0.4983  6 O 2.52-2.75
Na 0.0038 0.9968 0.0014  6 O 2.42-2.70
Na 0.6650 0.3256 0.8311  3 O 2.36-2.46
Na 0.6724 0.3333 0.3438  4 O 2.33-2.53
Na 0.3306 0.6679 0.1727  6 O 2.39-2.55
Na 0.3343 0.6728 0.6594  6 O 2.34-2.58
La 0.0013 0.0013 0.8346  6 O 2.29-2.44
La 0.6690 0.3294 0.1926  6 O 2.21-2.45
La 0.6701 0.3358 0.9945  6 O 2.34-2.44
La 0.3313 0.6725 0.0153  6 O 2.24-2.46
La 0.3280 0.6732 0.5085  5 O 2.25-2.46
La 0.3407 0.6774 0.8098  5 O 2.22-2.48
Al 0.9941 0.9921 0.3518  5 O 1.81-1.99
Al 0.0115 0.0015 0.6473  4 O 1.85-1.96
Al 0.0011 0.0030 0.1568  6 O 1.88-2.02
Al 0.6659 0.3275 0.6778  6 O 1.81-1.99
Al 0.6762 0.3447 0.4870  4 O 1.88-1.95
Al 0.3070 0.6463 0.3202  3 O 1.86-1.96
Si 0.0166 0.2866 0.2582  4 O 1.61-1.69
Si 0.7098 0.0163 0.7382  4 O 1.64-1.66
Si 0.3796 0.0614 0.5818  4 O 1.62-1.71
Si 0.9874 0.6667 0.0904  4 O 1.63-1.65
Si 0.3346 0.9921 0.9160  4 O 1.63-1.65
Si 0.0184 0.6674 0.4168  4 O 1.64-1.68
P 0.2679 0.9777 0.2582  4 O 1.53-1.58
P 0.7060 0.7281 0.2560  4 O 1.54-1.57
P 0.3150 0.3008 0.7385  4 O 1.55-1.56
P 0.9852 0.6862 0.7374  4 O 1.54-1.56
P 0.9415 0.3209 0.5817  4 O 1.53-1.57
P 0.6792 0.6211 0.5828  4 O 1.53-1.57
P 0.6820 0.0139 0.0892  4 O 1.54-1.56
P 0.3359 0.3207 0.0902  4 O 1.54-1.55
P 0.6514 0.6642 0.9163  4 O 1.54-1.56
P 0.0163 0.3490 0.9147  4 O 1.54-1.56
P 0.6402 0.9679 0.4129  4 O 1.55-1.58
P 0.3275 0.3560 0.4139  4 O 1.55-1.58
O 0.1695 0.9822 0.3130  1 P 1.53
O 0.8095 0.8198 0.3112  1 P 1.54
O 0.0108 0.1746 0.3146  1 Si 1.61
O 0.2603 0.2292 0.8025  1 P 1.55
O 0.9661 0.7428 0.8004  1 P 1.54
O 0.7825 0.0356 0.8062  1 Si 1.64
O 0.8397 0.0003 0.6905  1 Si 1.66, 1 Al 1.85
O 0.1867 0.1773 0.6923  1 P 1.56
O 0.0065 0.8189 0.6893  1 P 1.56
O 0.7973 0.8280 0.1987  1 P 1.55
O 0.0312 0.1968 0.1967  1 Si 1.65
O 0.1747 0.9714 0.2000  1 P 1.55
O 0.8508 0.3377 0.6366  1 P 1.53
O 0.4933 0.1578 0.6390  1 Si 1.62, 1 Al 1.81
O 0.6680 0.5131 0.6368  1 P 1.53
O 0.8866 0.5205 0.1413  1 Si 1.64
O 0.6347 0.1012 0.1387  1 P 1.56
O 0.4634 0.3519 0.1405  1 P 1.55
O 0.4099 0.3063 0.0294  1 P 1.55
O 0.8901 0.5957 0.0260  1 Si 1.65
O 0.6974 0.1027 0.0285  1 P 1.55
O 0.4757 0.1755 0.5208  1 Si 1.67
O 0.6945 0.5368 0.5241  1 P 1.57
O 0.8399 0.3093 0.5242  1 P 1.57
O 0.5605 0.6576 0.9752  1 P 1.54
O 0.1097 0.4377 0.9724  1 P 1.55
O 0.3230 0.8930 0.9780  1 Si 1.63
O 0.5886 0.8729 0.4737  1 P 1.55
O 0.2881 0.4138 0.4738  1 P 1.55
O 0.1287 0.7285 0.4784  1 Si 1.64
O 0.1297 0.6304 0.3656  1 Si 1.68, 1 Al 1.86
O 0.5070 0.8578 0.3643  1 P 1.58
O 0.3461 0.4847 0.3635  1 P 1.58
O 0.1176 0.4466 0.8582  1 P 1.56
O 0.3466 0.8917 0.8569  1 Si 1.65
O 0.5446 0.6566 0.8615  1 P 1.56
O 0.9836 0.8234 0.4037  1 Si 1.65
O 0.8201 0.9982 0.4026  1 P 1.56
O 0.1803 0.1730 0.4058  1 P 1.56
O 0.9926 0.1720 0.9164  1 P 1.54
O 0.1661 0.0060 0.9145  1 Si 1.63
O 0.8211 0.8280 0.9159  1 P 1.54
O 0.9631 0.1629 0.5839  1 P 1.57
O 0.1825 0.0325 0.5884  1 Si 1.71
O 0.8365 0.8022 0.5862  1 P 1.57
O 0.9828 0.8382 0.1030  1 Si 1.63
O 0.8530 0.0279 0.1002  1 P 1.54
O 0.1723 0.1527 0.0990  1 P 1.54
O 0.6861 0.1811 0.7319  1 Si 1.65
O 0.4948 0.3290 0.7317  1 P 1.55
O 0.8275 0.5117 0.7293  1 P 1.55
O 0.6846 0.5483 0.2569  1 P 1.57
O 0.8473 0.3060 0.2618  1 Si 1.66
O 0.4462 0.1372 0.2605  1 P 1.57
O 0.6763 0.5115 0.9118  1 P 1.54
O 0.8460 0.3420 0.9123  1 P 1.54
O 0.5039 0.1751 0.9151  1 Si 1.63
O 0.6453 0.1387 0.4162  1 P 1.56
O 0.4972 0.3583 0.4157  1 P 1.56
O 0.8370 0.4871 0.4262  1 Si 1.68
O 0.3029 0.4687 0.0918  1 P 1.54
O 0.1783 0.7000 0.0929  1 Si 1.63
O 0.5423 0.8285 0.0898  1 P 1.54
O 0.3597 0.8727 0.5818  1 Si 1.66
O 0.5184 0.6363 0.5827  1 P 1.56
O 0.1203 0.4793 0.5812  1 P 1.56
O 0.2922 0.8200 0.2611  1 P 1.58
O 0.5258 0.7056 0.2587  1 P 1.57
O 0.1827 0.4834 0.2617  1 Si 1.69, 1 Al 1.89
O 0.3197 0.4705 0.7313  1 P 1.55
O 0.1437 0.6685 0.7329  1 P 1.56
O 0.5272 0.8439 0.7311  1 Si 1.65

Computed properties:
Formation energy from the elements in eV per atom: -2.916
Corrected total energy (MP2020 scheme) in eV/cell: -905.07
Energy in Ry per atom: -0.499